The following is a PBE calculation of a relaxed structure of Sr2CaI6, from Materials Project.

Unit cell a=25.4055 b=7.6518 c=8.7711 alpha=90.00 beta=101.38 gamma=90.00
Last column: nearest neighbours and their distance in Å.
Space group C2/c (No. 15)
One atom of each set of equivalent atoms:
Sr1 0.1669 0.2212 0.1398 (multiplicity 8)  6 I 3.26-3.47
Ca1 0.0000 0.3305 0.7500 (multiplicity 4)  6 I 3.18-3.24
I1 0.0761 0.4793 0.5327 (multiplicity 8)  2 Ca 3.18, 1 Sr 3.26
I2 0.0909 0.0294 0.8320 (multiplicity 8)  1 Ca 3.24, 2 Sr 3.33-3.40
I3 0.2261 0.4964 0.9077 (multiplicity 8)  3 Sr 3.28-3.47

Summary:
M_tot: 0.00 μB/cell
electronic total energy: -3.2400 eV/atom



The following is a PBE calculation of a relaxed structure of Ti2Fe2H3, from Materials Project.

Unit cell a=4.4674 b=2.7517 c=4.8075 alpha=90.00 beta=92.03 gamma=90.00
Last column: nearest neighbours and their distance in Å.
Space group Pm (No. 6)
One atom of each set of equivalent atoms:
Ti1 0.0000 0.0000 0.0000 (multiplicity 1)  4 H 1.90-2.06
Ti2 0.4765 0.0000 0.3858 (multiplicity 1)  4 H 1.90-2.04
Fe1 0.4903 0.5000 0.8748 (multiplicity 1)  3 H 1.71-1.89
Fe2 0.9766 0.5000 0.5142 (multiplicity 1)  3 H 1.70-1.82
H1 0.1587 0.0000 0.6380 (multiplicity 1)  2 Fe 1.70
H2 0.6655 0.0000 0.7457 (multiplicity 1)  2 Fe 1.71, 2 Ti 1.90
H3 0.7395 0.5000 0.1996 (multiplicity 1)  2 Fe 1.82-1.89

Summary:
M_tot: 0.04 μB/cell
electronic total energy: -6.3060 eV/atom



| no. | ρ (g/cm³) |
| --- | --- |
| 1 | 3.88 |
| 2 | 5.92 |